(1)
Here is a geometry-optimized ThNb4O12 structure from the Materials Project. Energies are from PBE-GGA.

Results
Space group: Immm (71)
Offset from the most stable computed form, eV/atom: 0.000

The structure in POSCAR format:
```
ThNb4O12
1.0
-2.801 8.007 8.454
2.801 -8.007 8.454
2.801 8.007 -8.454
Th Nb O
3 12 36
direct
0.000 0.000 0.000
0.828 0.328 0.500
0.172 0.672 0.500
0.960 0.827 0.134
0.693 0.827 0.866
0.534 0.157 0.376
0.781 0.157 0.624
0.620 0.500 0.120
0.136 0.500 0.636
0.380 0.500 0.880
0.864 0.500 0.364
0.219 0.843 0.376
0.466 0.843 0.624
0.307 0.173 0.134
0.040 0.173 0.866
0.000 0.500 0.500
0.846 0.846 0.000
0.648 0.493 0.619
0.873 0.028 0.381
0.648 0.028 0.155
0.873 0.493 0.845
0.682 0.182 0.500
0.423 0.170 0.252
0.918 0.170 0.748
0.188 0.328 0.355
0.973 0.328 0.140
0.707 0.337 0.874
0.463 0.337 0.630
0.188 0.833 0.860
0.973 0.833 0.645
0.463 0.832 0.126
0.707 0.832 0.370
0.500 0.500 0.000
0.252 0.500 0.752
0.748 0.500 0.248
0.293 0.168 0.630
0.027 0.167 0.355
0.537 0.663 0.370
0.293 0.663 0.126
0.537 0.168 0.874
0.027 0.672 0.860
0.812 0.167 0.140
0.812 0.672 0.645
0.577 0.830 0.748
0.082 0.830 0.252
0.318 0.818 0.500
0.127 0.507 0.155
0.352 0.507 0.381
0.352 0.972 0.845
0.127 0.972 0.619
0.154 0.154 0.000
```

***

(2)
Here is a geometry-optimized CaP2H4O4 structure from the Materials Project. Energies are from PBE-GGA.

Results
Space group: C2/c (15)
E_tot, eV/atom: -5.70

The structure in POSCAR format:
```
CaP2H4O4
1.0
2.866 7.626 0.000
-2.866 7.626 0.000
0.000 1.418 6.605
Ca P H O
2 4 8 8
direct
0.167 0.833 0.750
0.833 0.167 0.250
0.542 0.175 0.718
0.825 0.458 0.782
0.458 0.825 0.282
0.175 0.542 0.218
0.467 0.093 0.637
0.907 0.533 0.863
0.533 0.907 0.363
0.093 0.467 0.137
0.601 0.057 0.917
0.943 0.399 0.583
0.399 0.943 0.083
0.057 0.601 0.417
0.936 0.213 0.898
0.787 0.064 0.602
0.456 0.323 0.229
0.677 0.544 0.271
0.544 0.677 0.771
0.323 0.456 0.729
0.213 0.936 0.398
0.064 0.787 0.102
```

***

(3)
Here is a geometry-optimized Gd2MgSi2 structure from the Materials Project. Energies are from PBE-GGA.

Results
Space group: P4/mbm (127)
E_tot, eV/atom: -8.82

The structure in POSCAR format:
```
Gd2MgSi2
1.0
7.232 0.000 0.000
0.000 7.232 0.000
0.000 0.000 4.248
Gd Mg Si
4 2 4
direct
0.679 0.179 0.500
0.321 0.821 0.500
0.179 0.321 0.500
0.821 0.679 0.500
0.000 0.000 0.000
0.500 0.500 0.000
0.117 0.617 0.000
0.883 0.383 0.000
0.617 0.883 0.000
0.383 0.117 0.000
```